Material: Co3Bi
Method: DFT, PBE-GGA
State: relaxed

- Energy of formation from the pure elements: 427 meV per atom
- Size of the total moment: 5.9 μB per cell

Unit cell a=3.8632 b=3.8632 c=7.5230 alpha=90.00 beta=90.00 gamma=90.00
Closest atoms and distances in Å follow each position.
Space group I4/mmm (No. 139)
One atom of each set of equivalent atoms:
Co 0.0000 0.0000 0.0000 x2  8 Co 2.70, 4 Bi 2.73
Co 0.0000 0.5000 0.2500 x4  4 Bi 2.70, 8 Co 2.70-2.73
Bi 0.0000 0.0000 0.5000 x2  12 Co 2.70-2.73

---

Material: Mo3Se4S2
Method: DFT, PBE-GGA
State: relaxed

- Energy of formation from the pure elements: -837 meV per atom
- E (MP2020): -0.5090 Ry per atom

Unit cell a=3.2784 b=3.2784 c=30.1445 alpha=90.00 beta=90.00 gamma=120.00
Closest atoms and distances in Å follow each position.
Space group P-6m2 (No. 187)
One atom of each set of equivalent atoms:
Mo 0.0000 0.0000 0.0000 x1  6 S 2.44
Mo 0.6667 0.3333 0.2313 x2  6 Se 2.54
Se 0.0000 0.0000 0.1753 x2  3 Mo 2.54
Se 0.0000 0.0000 0.2874 x2  3 Mo 2.54
S 0.6667 0.3333 0.0509 x2  3 Mo 2.44

---

Material: In2Ni6C
Method: DFT, PBE-GGA
State: relaxed

- Energy of formation from the pure elements: -56 meV per atom
- Size of the total moment: 0.4 μB per cell

Unit cell a=3.8368 b=3.8368 c=7.5058 alpha=90.00 beta=90.00 gamma=90.00
Closest atoms and distances in Å follow each position.
Space group P4/mmm (No. 123)
One atom of each set of equivalent atoms:
In 0.0000 0.0000 0.2388 x2  12 Ni 2.63-2.74
Ni 0.0000 0.5000 0.0000 x2  4 In 2.63, 8 Ni 2.67-2.71
Ni 0.0000 0.5000 0.5000 x2  2 C 1.92
Ni 0.5000 0.5000 0.2467 x2  1 C 1.90
C 0.5000 0.5000 0.5000 x1  6 Ni 1.90-1.92

---

Material: Tb3Mn3Ga2Si
Method: DFT, PBE-GGA
State: relaxed

- Energy of formation from the pure elements: -327 meV per atom
- Size of the total moment: 9.7 μB per cell
- E (MP2020): -0.4558 Ry per atom

Unit cell a=7.0114 b=7.0114 c=4.1806 alpha=90.00 beta=90.00 gamma=120.00
Closest atoms and distances in Å follow each position.
Space group P-6 (No. 174)
One atom of each set of equivalent atoms:
Tb 0.0030 0.5824 0.0000 x3  3 Ga 2.94-2.98, 2 Si 2.95, 4 Mn 3.20-3.24
Mn 0.0114 0.2415 0.5000 x3  3 Ga 2.67-2.80, 1 Si 2.69, 2 Mn 2.87
Ga 0.0000 0.0000 0.0000 x1  6 Mn 2.67, 3 Tb 2.94
Ga 0.6667 0.3333 0.5000 x1  3 Mn 2.80, 6 Tb 2.98
Si 0.3333 0.6667 0.5000 x1  3 Mn 2.69, 6 Tb 2.95

---

Material: NaMnCuSe2
Method: DFT, PBE-GGA
State: relaxed

- Energy of formation from the pure elements: -757 meV per atom
- Size of the total moment: 5.0 μB per cell
- Largest piezoelectric modulus: 0.4 C/m²
- E (MP2020): -0.3728 Ry per atom

Unit cell a=4.1355 b=4.1355 c=7.1932 alpha=90.00 beta=90.00 gamma=120.00
Closest atoms and distances in Å follow each position.
Space group P3m1 (No. 156)
One atom of each set of equivalent atoms:
Na 0.0000 0.0000 0.0000 x1  6 Se 3.00-3.08
Mn 0.6667 0.3333 0.4046 x1  4 Se 2.47-2.58
Cu 0.3333 0.6667 0.6381 x1  4 Se 2.51-2.65
Se 0.3333 0.6667 0.2700 x1  3 Mn 2.58, 1 Cu 2.65
Se 0.6667 0.3333 0.7477 x1  1 Mn 2.47, 3 Cu 2.51

---

Material: La2InCuS5
Method: DFT, PBE-GGA
State: relaxed

- Energy of formation from the pure elements: -1711 meV per atom
- Size of the total moment: 0.0 μB per cell
- E (MP2020): -0.4312 Ry per atom

Unit cell a=11.6054 b=3.9796 c=16.9196 alpha=90.00 beta=90.00 gamma=90.00
Closest atoms and distances in Å follow each position.
Space group Pnma (No. 62)
One atom of each set of equivalent atoms:
La 0.0196 0.2500 0.1785 x4  8 S 2.94-3.19, 1 Cu 3.25
La 0.1354 0.7500 0.5919 x4  8 S 2.93-3.25
In 0.1954 0.7500 0.3588 x4  6 S 2.59-2.81
Cu 0.0950 0.7500 0.9969 x4  3 S 2.27-2.32
S 0.0135 0.2500 0.6942 x4  1 In 2.59
S 0.1012 0.2500 0.9265 x4  2 Cu 2.32
S 0.1139 0.2500 0.4622 x4  2 In 2.81, 3 La 2.97-3.04
S 0.1824 0.7500 0.1168 x4  1 Cu 2.27
S 0.2397 0.7500 0.7702 x4  2 In 2.60

---

Material: Sb24Cl35F85
Method: DFT, PBE-GGA
State: relaxed

- Energy of formation from the pure elements: -2040 meV per atom
- Size of the total moment: 0.4 μB per cell
- E (MP2020): -0.3166 Ry per atom

Unit cell a=11.0770 b=11.8025 c=24.9045 alpha=96.25 beta=90.10 gamma=90.10
Closest atoms and distances in Å follow each position.
Space group P1 (No. 1)
One atom of each set of equivalent atoms:
Sb 0.0000 0.0000 0.0000 x1  6 F 1.89-2.08
Sb 0.0003 0.9998 0.5002 x1  6 F 1.90-2.08
Sb 0.0153 0.5696 0.0322 x1  4 Cl 2.27-2.28
Sb 0.0175 0.5685 0.5294 x1  4 Cl 2.27-2.28
Sb 0.2341 0.0697 0.7813 x1  4 Cl 2.27-2.28
Sb 0.2357 0.0761 0.2843 x1  4 Cl 2.26-2.28
Sb 0.2496 0.5000 0.7501 x1  6 F 1.90-2.08
Sb 0.2501 0.5008 0.2503 x1  6 F 1.89-2.09
Sb 0.3255 0.9099 0.9342 x1  6 F 1.89-2.06
Sb 0.3261 0.9100 0.4347 x1  6 F 1.89-2.07
Sb 0.4244 0.4586 0.4534 x1  6 F 1.89-2.06
Sb 0.4276 0.4640 0.9563 x1  5 F 1.89-2.07
Sb 0.4991 0.8683 0.1381 x1  6 F 1.90-2.10
Sb 0.4986 0.8677 0.6377 x1  6 F 1.90-2.10
Sb 0.5144 0.2944 0.6042 x1  4 Cl 2.26-2.28
Sb 0.5163 0.2950 0.1065 x1  4 Cl 2.26-2.28
Sb 0.7336 0.7952 0.3554 x1  4 Cl 2.26-2.28
Sb 0.7337 0.7950 0.8558 x1  4 Cl 2.26-2.28
Sb 0.7501 0.3681 0.3876 x1  6 F 1.90-2.09
Sb 0.7504 0.3679 0.8878 x1  6 F 1.90-2.10
Sb 0.8221 0.9637 0.7061 x1  5 F 1.89-2.07
Sb 0.8220 0.9649 0.2067 x1  5 F 1.89-2.07
Sb 0.9242 0.4099 0.1841 x1  6 F 1.89-2.06
Sb 0.9236 0.4097 0.6843 x1  6 F 1.89-2.07
Cl 0.0309 0.3758 0.5234 x1  1 Sb 2.27
Cl 0.0318 0.3767 0.0242 x1  1 Sb 2.27
Cl 0.0484 0.6128 0.9465 x1  1 Sb 2.28
Cl 0.0492 0.6127 0.4440 x1  1 Sb 2.27
Cl 0.0943 0.1669 0.8344 x1  1 Sb 2.27
Cl 0.0966 0.1722 0.3376 x1  1 Sb 2.26
Cl 0.1560 0.6673 0.0849 x1  1 Sb 2.27
Cl 0.1577 0.6645 0.5832 x1  1 Sb 2.27
Cl 0.2004 0.1128 0.6957 x1  1 Sb 2.28
Cl 0.2018 0.1167 0.1983 x1  1 Sb 2.28
Cl 0.2174 0.8768 0.7740 x1  1 Sb 2.27
Cl 0.2189 0.8827 0.2758 x1  1 Sb 2.28
Cl 0.3070 0.3191 0.9121 x1  1 Sb 2.34
Cl 0.3252 0.2310 0.5813 x1  1 Sb 2.28
Cl 0.3273 0.2322 0.0821 x1  1 Sb 2.28
Cl 0.4244 0.1318 0.8034 x1  1 Sb 2.28
Cl 0.4255 0.1383 0.3067 x1  1 Sb 2.27
Cl 0.5296 0.4878 0.6128 x1  1 Sb 2.28
Cl 0.5308 0.4886 0.1148 x1  1 Sb 2.28
Cl 0.5459 0.2533 0.6903 x1  1 Sb 2.28
Cl 0.5467 0.2524 0.1920 x1  1 Sb 2.27
Cl 0.5932 0.6990 0.3024 x1  1 Sb 2.26
Cl 0.5940 0.6989 0.8024 x1  1 Sb 2.26
Cl 0.6549 0.1984 0.5516 x1  1 Sb 2.26
Cl 0.6550 0.1992 0.0526 x1  1 Sb 2.26
Cl 0.7031 0.7522 0.4412 x1  1 Sb 2.28
Cl 0.7039 0.7525 0.9415 x1  1 Sb 2.27
Cl 0.7188 0.9887 0.3648 x1  1 Sb 2.28
Cl 0.7190 0.9885 0.8645 x1  1 Sb 2.28
Cl 0.8253 0.6322 0.0539 x1  1 Sb 2.28
Cl 0.8284 0.6318 0.5529 x1  1 Sb 2.28
Cl 0.9224 0.7328 0.3316 x1  1 Sb 2.28
Cl 0.9225 0.7325 0.8317 x1  1 Sb 2.28
Cl 0.9417 0.8188 0.6617 x1  1 Sb 2.35
Cl 0.9428 0.8198 0.1628 x1  1 Sb 2.35
F 0.0037 0.8559 0.0281 x1  1 Sb 1.91
F 0.0037 0.8557 0.5284 x1  1 Sb 1.91
F 0.0192 0.1386 0.4687 x1  1 Sb 1.90
F 0.0198 0.1386 0.9682 x1  1 Sb 1.91
F 0.0318 0.3024 0.6486 x1  1 Sb 1.90
F 0.0317 0.3027 0.1480 x1  1 Sb 1.89
F 0.0633 0.0724 0.0658 x1  1 Sb 1.90
F 0.0629 0.0721 0.5663 x1  1 Sb 1.90
F 0.0681 0.4696 0.2314 x1  2 Sb 2.06-2.09
F 0.0683 0.4695 0.7319 x1  2 Sb 2.07-2.08
F 0.1813 0.9696 0.4822 x1  2 Sb 2.07-2.08
F 0.1814 0.9697 0.9815 x1  2 Sb 2.06-2.08
F 0.1862 0.5743 0.3157 x1  1 Sb 1.90
F 0.1873 0.5722 0.8160 x1  1 Sb 1.90
F 0.2172 0.8032 0.3987 x1  1 Sb 1.90
F 0.2169 0.8025 0.8983 x1  1 Sb 1.90
F 0.2302 0.6386 0.2179 x1  1 Sb 1.91
F 0.2301 0.6387 0.7184 x1  1 Sb 1.91
F 0.2461 0.3558 0.7782 x1  1 Sb 1.91
F 0.2460 0.3576 0.2789 x1  1 Sb 1.90
F 0.2720 0.0174 0.8856 x1  1 Sb 1.94
F 0.2730 0.0188 0.3871 x1  1 Sb 1.93
F 0.2830 0.4236 0.6803 x1  1 Sb 1.91
F 0.2835 0.4234 0.1807 x1  1 Sb 1.91
F 0.2903 0.5029 0.4989 x1  1 Sb 1.91
F 0.2990 0.5145 0.0039 x1  1 Sb 1.91
F 0.3343 0.8408 0.1202 x1  1 Sb 1.90
F 0.3336 0.8406 0.6201 x1  1 Sb 1.90
F 0.3371 0.3392 0.4137 x1  1 Sb 1.89
F 0.3577 0.8098 0.4874 x1  1 Sb 1.89
F 0.3581 0.8105 0.9870 x1  1 Sb 1.89
F 0.3912 0.5591 0.4011 x1  1 Sb 1.89
F 0.3940 0.5622 0.9027 x1  1 Sb 1.90
F 0.4124 0.0303 0.9733 x1  1 Sb 1.89
F 0.4134 0.0290 0.4747 x1  1 Sb 1.89
F 0.4146 0.5256 0.7677 x1  1 Sb 1.90
F 0.4152 0.5270 0.2676 x1  1 Sb 1.89
F 0.4580 0.8645 0.8884 x1  1 Sb 1.90
F 0.4587 0.8645 0.3890 x1  1 Sb 1.90
F 0.4628 0.9449 0.7072 x1  1 Sb 1.91
F 0.4645 0.9460 0.2075 x1  1 Sb 1.91
F 0.4776 0.3505 0.5014 x1  1 Sb 1.93
F 0.4825 0.3547 0.0036 x1  1 Sb 1.94
F 0.5023 0.0111 0.6094 x1  1 Sb 1.90
F 0.5028 0.0112 0.1092 x1  1 Sb 1.90
F 0.5187 0.7305 0.6703 x1  1 Sb 1.90
F 0.5190 0.7308 0.1705 x1  1 Sb 1.90
F 0.5316 0.5663 0.4900 x1  1 Sb 1.90
F 0.5387 0.5699 0.9906 x1  1 Sb 1.89
F 0.5643 0.7948 0.5727 x1  1 Sb 1.90
F 0.5646 0.7950 0.0730 x1  1 Sb 1.90
F 0.5692 0.4003 0.4064 x1  2 Sb 2.06-2.09
F 0.5689 0.4009 0.9074 x1  2 Sb 2.07-2.10
F 0.6806 0.9007 0.6573 x1  2 Sb 2.07-2.10
F 0.6816 0.9008 0.1573 x1  2 Sb 2.07-2.10
F 0.6841 0.2947 0.8228 x1  1 Sb 1.90
F 0.6860 0.2947 0.3222 x1  1 Sb 1.90
F 0.7109 0.0705 0.2406 x1  1 Sb 1.89
F 0.7121 0.0698 0.7406 x1  1 Sb 1.89
F 0.7303 0.2306 0.4201 x1  1 Sb 1.90
F 0.7303 0.2306 0.9204 x1  1 Sb 1.90
F 0.7473 0.5111 0.8593 x1  1 Sb 1.90
F 0.7471 0.5116 0.3592 x1  1 Sb 1.90
F 0.7667 0.8551 0.2537 x1  1 Sb 1.94
F 0.7671 0.8546 0.7534 x1  1 Sb 1.94
F 0.7861 0.4455 0.4572 x1  1 Sb 1.91
F 0.7872 0.4453 0.9573 x1  1 Sb 1.91
F 0.7906 0.3641 0.6385 x1  1 Sb 1.90
F 0.7911 0.3647 0.1381 x1  1 Sb 1.90
F 0.8351 0.0255 0.0174 x1  1 Sb 1.89
F 0.8353 0.0249 0.5178 x1  1 Sb 1.90
F 0.8371 0.5296 0.7238 x1  1 Sb 1.90
F 0.8376 0.5305 0.2230 x1  1 Sb 1.89
F 0.8562 0.0623 0.1528 x1  1 Sb 1.90
F 0.8560 0.0623 0.6527 x1  1 Sb 1.90
F 0.8906 0.3103 0.2367 x1  1 Sb 1.89
F 0.8913 0.3102 0.7372 x1  1 Sb 1.89
F 0.9151 0.3405 0.8701 x1  1 Sb 1.90
F 0.9152 0.3422 0.3704 x1  1 Sb 1.90
F 0.9503 0.0154 0.2546 x1  1 Sb 1.91
F 0.9518 0.0135 0.7537 x1  1 Sb 1.91
F 0.9661 0.9231 0.4304 x1  1 Sb 1.91
F 0.9662 0.9234 0.9302 x1  1 Sb 1.91
F 0.9774 0.5175 0.6362 x1  1 Sb 1.93
F 0.9775 0.5174 0.1353 x1  1 Sb 1.94

---

Material: K3TaNbCu3S8
Method: DFT, PBE-GGA
State: relaxed

- Energy of formation from the pure elements: -1215 meV per atom
- Size of the total moment: 0.0 μB per cell
- E (MP2020): -0.4140 Ry per atom

Unit cell a=23.8464 b=5.5871 c=14.4855 alpha=90.00 beta=120.38 gamma=90.00
Closest atoms and distances in Å follow each position.
Space group C2 (No. 5)
One atom of each set of equivalent atoms:
K 0.0000 0.0000 0.2499 x4  8 S 3.32-3.55
K 0.1917 0.4587 0.3447 x4  5 S 3.23-3.54
K 0.1917 0.5411 0.8448 x4  6 S 3.23-3.62
Ta 0.1258 0.7159 0.5297 x4  4 S 2.29-2.31
Nb 0.1260 0.2842 0.0298 x4  4 S 2.29-2.32
Cu 0.0000 0.2808 0.0000 x2  4 S 2.35-2.37
Cu 0.0000 0.7192 0.5000 x2  4 S 2.36-2.37
Cu 0.1231 0.2160 0.5317 x4  4 S 2.33-2.38
Cu 0.1231 0.7839 0.0316 x4  4 S 2.33-2.38
S 0.0394 0.4798 0.4112 x4  1 Ta 2.31, 2 Cu 2.36-2.38
S 0.0391 0.5213 0.9113 x4  1 Nb 2.32, 2 Cu 2.35-2.38
S 0.0906 0.0498 0.1229 x4  1 Nb 2.32, 2 Cu 2.37
S 0.0910 0.9487 0.6231 x4  1 Ta 2.31, 2 Cu 2.37
S 0.1564 0.0308 0.9369 x4  1 Nb 2.31, 1 Cu 2.35
S 0.1564 0.9669 0.4371 x4  1 Ta 2.30, 1 Cu 2.35
S 0.2099 0.4688 0.6399 x4  1 Ta 2.29, 1 Cu 2.33
S 0.2099 0.5334 0.1401 x4  1 Nb 2.29, 1 Cu 2.33

---

Material: MgH24Cl2O12
Method: DFT, PBE-GGA
State: relaxed

- Energy of formation from the pure elements: -1336 meV per atom
- E (MP2020): -0.3735 Ry per atom

Unit cell a=7.3724 b=14.6005 c=8.8703 alpha=90.00 beta=116.99 gamma=90.00
Closest atoms and distances in Å follow each position.
Space group P2_1/c (No. 14)
One atom of each set of equivalent atoms:
Mg 0.0000 0.0000 0.0000 x2  6 O 2.07-2.09
H 0.0245 0.1620 0.4746 x4  1 O 0.99
H 0.0644 0.1302 0.2496 x4  1 O 1.00
H 0.0855 0.6729 0.4286 x4  1 O 0.98
H 0.2332 0.5916 0.8006 x4  1 O 0.98
H 0.2420 0.1997 0.5097 x4  1 O 1.00
H 0.2573 0.0326 0.8499 x4  1 O 0.99
H 0.2780 0.0569 0.6052 x4  1 O 1.00
H 0.2884 0.1113 0.9837 x4  1 O 0.99
H 0.3297 0.5485 0.1425 x4  1 O 0.99
H 0.3860 0.5373 0.7493 x4  1 O 0.99
H 0.4740 0.7341 0.4493 x4  1 O 0.99
H 0.4975 0.7054 0.2896 x4  1 O 0.99
Cl 0.2662 0.6891 0.0180 x4  6 H 2.20-2.35
O 0.0084 0.1221 0.1249 x4  2 H 0.98-1.00
O 0.1498 0.1459 0.4652 x4  2 H 0.99-1.00
O 0.2039 0.0576 0.9255 x4  2 H 0.99
O 0.2404 0.5483 0.7188 x4  2 H 0.98-0.99
O 0.3581 0.0123 0.6969 x4  2 H 0.99-1.00
O 0.4239 0.2126 0.0862 x4  2 H 0.99

---

Material: CaMg6SiO8
Method: DFT, PBE-GGA
State: relaxed

- Energy of formation from the pure elements: -2694 meV per atom
- Size of the total moment: 0.0 μB per cell
- E (MP2020): -0.4581 Ry per atom

Unit cell a=4.4300 b=4.4300 c=8.7430 alpha=90.00 beta=90.00 gamma=90.00
Closest atoms and distances in Å follow each position.
Space group P4/mmm (No. 123)
One atom of each set of equivalent atoms:
Ca 0.0000 0.0000 0.0000 x1  6 O 2.22-2.24
Mg 0.0000 0.5000 0.2545 x4  6 O 2.15-2.22
Mg 0.5000 0.5000 0.0000 x1  6 O 2.19-2.22
Mg 0.5000 0.5000 0.5000 x1  6 O 2.18-2.22
Si 0.0000 0.0000 0.5000 x1  6 O 2.13-2.22
O 0.0000 0.0000 0.2565 x2  1 Si 2.13, 4 Mg 2.22, 1 Ca 2.24
O 0.0000 0.5000 0.0000 x2  4 Mg 2.22, 2 Ca 2.22
O 0.0000 0.5000 0.5000 x2  4 Mg 2.15-2.22, 2 Si 2.22
O 0.5000 0.5000 0.2505 x2  6 Mg 2.18-2.22